(1)
28
Lattice="3.1455 5.4194 0.0293 -3.1447 1.8363 5.1016 6.2145 -3.5440 5.0120" Properties=species:S:1:pos:R:3 comment="LiNbFeO4, relaxed, DFT PBE with a Hubbard U" de_polymorph_mev_per_atom=45 formation_energy_ev_per_atom=-2.45 space_group="C2, No. 5" pbc="T T T"
Li 1.5620 1.0713 0.7591
Li 4.6723 2.9380 5.8115
Li 4.6526 2.6199 9.3796
Li 1.5448 0.7703 4.3167
Nb 3.1276 3.7845 2.3315
Nb 3.0914 0.2139 7.3711
Nb 6.2547 3.4897 2.7447
Nb 0.0001 3.4660 2.7705
Fe 7.7326 2.7959 7.6139
Fe 4.7133 -0.8181 5.0383
Fe 4.6260 0.9505 2.5341
Fe 1.6088 4.5713 5.1091
O 3.2444 2.0064 1.4610
O 3.2166 -1.5518 6.4817
O 2.9905 3.9113 6.4625
O 6.0800 -1.5070 6.4146
O 3.2301 -0.1904 3.6640
O 0.1385 5.2060 3.7382
O 2.9545 1.7053 8.6891
O 3.0057 5.2521 3.6588
O 4.6808 2.8880 3.6953
O 4.6355 -0.6696 8.7371
O 4.6991 4.4796 1.4451
O 4.6689 0.9171 6.4930
O 1.5161 0.8258 6.4519
O 1.5415 4.3814 1.4111
O 1.5463 -0.7612 8.6905
O 1.5715 2.8005 3.6540

---

(2)
38
Lattice="5.4332 -0.1010 0.0680 -2.0094 10.4880 -0.0241 -2.6855 2.2705 7.3407" Properties=species:S:1:pos:R:3 comment="Li4Nb2Fe3O10, relaxed, DFT PBE with a Hubbard U" formation_energy_ev_per_atom=-2.34 pbc="T T T"
Li 1.8616 4.1494 4.5599
Li 0.8575 9.3936 4.5483
Li -0.1185 3.2644 2.8370
Li -1.1243 8.5084 2.8247
Li 2.2997 2.7026 1.7756
Li 1.2959 7.9457 1.7667
Li -0.5570 4.7114 5.6210
Li -1.5641 9.9546 5.6068
Nb 3.1631 5.5451 2.3156
Nb 2.1546 10.7893 2.3024
Nb -1.4201 1.8685 5.0809
Nb -2.4205 7.1121 5.0700
Fe -1.5069 7.8665 -0.0174
Fe -0.5432 10.6405 0.8590
Fe 0.2770 7.2616 6.5132
Fe -0.5023 2.6220 -0.0060
Fe 0.4648 5.3963 0.8716
Fe 1.2779 2.0168 6.5240
O 1.5594 4.4643 2.5158
O 0.5519 9.7078 2.5033
O 0.1833 2.9492 4.8811
O -0.8180 8.1935 4.8690
O 1.3768 5.7273 5.7408
O 0.3698 10.9708 5.7288
O 0.3664 1.6864 1.6558
O -0.6359 6.9307 1.6445
O 3.4135 2.0558 3.3131
O 2.4129 7.2999 3.3021
O -1.6708 5.3576 4.0833
O -2.6793 10.6018 4.0705
O 3.3043 1.1797 0.6287
O 2.3027 6.4228 0.6173
O -1.5609 6.2334 6.7676
O -2.5692 11.4789 6.7554
O -2.3737 3.2658 6.0368
O -3.3735 8.5101 6.0264
O 4.1163 4.1479 1.3590
O 3.1079 9.3918 1.3466

---

(3)
14
Lattice="6.1980 0.0003 -0.0017 0.0016 3.5828 -5.0668 3.0976 1.8294 5.0927" Properties=species:S:1:pos:R:3 comment="LiNbFeO4, relaxed, DFT PBE with a Hubbard U" de_polymorph_mev_per_atom=56 formation_energy_ev_per_atom=-2.44 space_group="Imma, No. 74" pbc="T T T"
Li 1.5490 1.0338 0.7305
Li 7.7482 4.3788 -0.7063
Nb 3.0985 3.6208 2.5593
Nb 6.1974 3.6209 2.5584
Fe 4.6487 2.7063 0.0122
Fe 4.6477 0.9149 2.5454
O 3.2258 1.9966 1.4125
O 6.0726 1.9989 1.4098
O 3.2246 3.4136 -1.3856
O 6.0715 3.4159 -1.3884
O 1.5498 1.0490 -1.4058
O 1.5500 2.6074 -3.6099
O 7.7474 4.3635 1.4300
O 7.7472 2.8051 3.6340

---

(4)
15
Lattice="5.0300 -1.5632 -3.0508 5.4504 0.9187 2.5498 3.3779 -4.7737 1.8619" Properties=species:S:1:pos:R:3 comment="Li3NbFe3O8, relaxed, DFT PBE with a Hubbard U" de_polymorph_mev_per_atom=4 formation_energy_ev_per_atom=-2.12 space_group="C2/m, No. 12" pbc="T T T"
Li 2.5150 -0.7816 -1.5254
Li 1.6890 -2.3869 0.9310
Li 2.7252 0.4593 1.2749
Nb 0.0000 0.0000 0.0000
Fe 4.4141 -1.9275 2.2059
Fe 5.2402 -0.3223 -0.2505
Fe 4.2040 -3.1685 -0.5945
O 10.2550 -3.9501 0.9807
O 5.8453 -2.1515 -1.3052
O 5.0258 -3.7471 1.2833
O 3.6033 -1.4682 0.3802
O 6.0726 -0.8097 1.7229
O 8.0130 -3.2668 2.6661
O 8.8324 -1.6712 0.0776
O 7.7857 -4.6086 -0.3619

---

(5)
28
Lattice="-5.6501 0.6870 2.3085 -0.3616 -6.0765 0.8287 3.4079 0.8845 8.0484" Properties=species:S:1:pos:R:3 comment="LiNbFeO4, relaxed, DFT PBE with a Hubbard U" de_polymorph_mev_per_atom=6 piezo_max_c_m2=0.06 formation_energy_ev_per_atom=-2.49 space_group="C2, No. 5" pbc="T T T"
Li -2.3272 0.1425 10.5514
Li 1.4254 -4.2078 4.6559
Li -0.8379 -5.6937 3.3844
Li -1.7662 1.1883 7.8059
Nb 0.6147 -0.8058 5.8207
Nb 1.2958 -3.6018 8.2385
Nb -3.0393 -0.6749 4.9551
Nb -4.0761 -3.9246 3.3556
Fe -1.3975 -3.8176 5.8068
Fe -1.9059 -1.8568 8.2001
Fe -0.6974 -2.6540 2.9851
Fe -2.9147 -1.1273 1.3569
O -4.8695 -0.6204 4.5602
O 0.5577 -4.3071 2.6015
O 1.6050 -5.0183 9.4266
O 0.2980 0.6087 4.6368
O -4.1973 0.5069 1.7537
O -2.8715 -5.1069 6.5393
O 2.4429 -0.8651 6.2163
O -3.3335 -3.1689 8.9824
O -1.6261 -2.8462 1.0201
O 0.0575 -2.4442 5.0186
O -2.0565 -1.0036 3.3595
O -2.2341 -3.9669 3.7947
O -0.3766 -0.5548 7.4304
O -0.5432 -3.5334 7.7951
O -2.6919 -2.0791 6.1763
O -0.9880 -1.6366 10.1709

---

(6)
15
Lattice="3.7339 -2.4048 4.0596 0.7939 5.7425 -1.8455 -3.9049 4.3715 1.6580" Properties=species:S:1:pos:R:3 comment="Li3NbFe3O8, relaxed, DFT PBE with a Hubbard U" de_polymorph_mev_per_atom=23 formation_energy_ev_per_atom=-2.10 space_group="P-1, No. 2" pbc="T T T"
Li 0.3969 2.8713 -0.9227
Li -1.9524 2.1857 0.8290
Li 0.3114 3.8546 1.9360
Nb 0.6229 7.7092 3.8720
Fe -1.6410 6.0403 2.7650
Fe -0.0855 0.9833 2.8588
Fe -1.5555 5.0570 -0.0938
O 1.9361 0.9233 2.9728
O 0.1523 1.8413 0.9191
O 2.5051 3.5431 2.1217
O 0.1285 2.8462 3.9077
O 0.4944 4.8630 -0.0357
O -1.8822 4.1661 1.7503
O 0.4706 5.8678 2.9529
O -1.3132 6.7859 0.8992

---

(7)
28
Lattice="-5.3714 -2.2476 -2.3837 4.4769 -6.5907 -3.8743 -0.7729 -3.4553 4.9804" Properties=species:S:1:pos:R:3 comment="LiNbFeO4, relaxed, DFT PBE with a Hubbard U" de_polymorph_mev_per_atom=40 formation_energy_ev_per_atom=-2.46 space_group="P-1, No. 2" pbc="T T T"
Li -0.6394 -1.4982 -1.1322
Li -1.5779 -7.6773 -1.8353
Li -0.1497 -7.3082 -5.0616
Li -0.1940 -4.6500 0.4953
Nb -1.4206 -7.9295 1.7475
Nb -5.5574 -3.9177 0.2087
Nb 2.0475 -3.3975 -2.0182
Nb 1.5952 -9.3417 -2.4914
Fe 1.4361 -8.0952 0.2327
Fe -3.4907 -5.9250 0.9776
Fe -3.1004 -4.1977 -1.5092
Fe 1.8209 -6.3681 -2.2599
O -2.1846 -6.4258 2.7047
O 2.9066 -6.9395 -0.6121
O -4.7041 -7.4590 1.6024
O 0.4103 -8.0051 -1.7366
O -2.1379 -6.9793 -5.1608
O -2.2733 -4.3921 0.3579
O -0.0367 -9.2517 1.0763
O 0.5772 -3.1758 1.6368
O -1.9363 -5.7812 -2.6235
O -1.8897 -3.1021 3.0049
O -2.3613 -7.6651 0.0949
O -1.5425 -1.5342 0.7404
O 0.2827 -6.5006 1.3392
O 0.2093 -9.2038 -4.2739
O 0.7085 -4.6148 -1.3784
O -0.1405 -10.7740 -2.0117

---

(8)
28
Lattice="5.9889 1.4235 -0.2678 1.0839 9.6286 4.6794 3.9381 -2.4316 4.1960" Properties=species:S:1:pos:R:3 comment="LiNbFeO4, relaxed, DFT PBE with a Hubbard U" de_polymorph_mev_per_atom=54 formation_energy_ev_per_atom=-2.44 space_group="P1, No. 1" pbc="T T T"
Li 5.7045 2.8961 1.0798
Li 8.2027 6.4913 5.5180
Li 2.8073 2.1287 3.0892
Li 5.3065 5.7239 7.5274
Nb 5.5111 4.3064 4.3020
Nb 4.0848 10.3365 4.5442
Nb 4.7610 7.3126 4.4265
Nb 6.2413 1.2949 4.1827
Fe 7.9575 0.2091 1.8318
Fe 7.4763 3.0958 6.4012
Fe 0.5434 4.8162 2.3404
Fe 4.9622 -0.5032 1.9640
O 5.3266 4.4671 2.3279
O 7.9395 8.0884 6.7613
O 8.7063 4.8430 6.6303
O 6.0920 1.2209 2.1972
O 4.9177 7.4027 6.4103
O 2.3064 3.7812 1.9780
O 3.0684 0.5339 1.8462
O 5.6844 4.1563 6.2792
O 6.4534 6.1296 4.3342
O 7.8960 0.1015 4.1158
O 3.8327 5.5037 4.4760
O 5.2724 -0.5212 4.2091
O 3.1151 8.5199 4.4920
O 4.5563 2.4920 4.2737
O 5.7380 9.1445 4.3984
O 7.1764 3.1176 4.1316

---

(9)
16
Lattice="3.1195 5.2272 0.0000 -3.1195 5.2272 0.0000 0.0000 3.6771 5.0422" Properties=species:S:1:pos:R:3 comment="Li3NbFe4O8, relaxed, DFT PBE with a Hubbard U" formation_energy_ev_per_atom=-2.06 space_group="C2/m, No. 12" pbc="T T T"
Li -1.5597 2.6136 0.0000
Li 1.5597 2.6136 0.0000
Li 0.0000 1.8386 2.5211
Nb 0.0000 5.2272 0.0000
Fe 0.0000 0.0000 0.0000
Fe 1.5597 4.4521 2.5211
Fe -1.5597 4.4521 2.5211
Fe 0.0000 7.0657 2.5211
O 0.0000 10.5350 3.8504
O -1.4569 6.1351 1.1421
O 1.4569 6.1351 1.1421
O 0.0000 3.5965 1.1919
O 0.0000 5.2839 3.6634
O 1.4569 7.9963 3.9002
O -1.4569 7.9963 3.9002
O 0.0000 8.8475 1.3789

---

(10)
18
Lattice="-3.8817 1.3954 3.2648 -1.1885 -5.1345 -0.9751 6.7501 -0.8549 4.3324" Properties=species:S:1:pos:R:3 comment="Li3Nb2Fe3O10, relaxed, DFT PBE with a Hubbard U" formation_energy_ev_per_atom=-2.33 space_group="P1, No. 1" pbc="T T T"
Li -0.9639 -0.7684 4.3543
Li 3.3946 -2.2391 3.9965
Li -1.8735 -2.3945 2.5331
Nb 1.7265 0.1580 5.3294
Nb 0.0181 -4.6025 1.2952
Fe -1.9436 0.6880 1.6345
Fe 1.6508 -2.8982 6.1277
Fe -0.0896 -1.5644 0.4953
O 0.4923 -1.3191 5.5663
O -0.5891 -0.6128 2.3438
O 2.2422 -0.6202 3.3777
O 3.1922 -1.3948 5.9391
O -3.5886 -3.8118 2.7010
O 5.3658 -0.8072 4.0220
O -1.5269 -3.1684 0.6617
O -0.5730 -3.9013 3.2521
O 2.2790 -3.9280 4.4272
O 1.1768 -3.1021 1.0239

---

(11)
20
Lattice="5.6405 -0.0033 -0.0027 6.3473 9.2784 -0.0063 6.3471 6.3078 4.3233" Properties=species:S:1:pos:R:3 comment="Li3Nb4FeO12, relaxed, DFT PBE with a Hubbard U" formation_energy_ev_per_atom=-2.74 space_group="P1, No. 1" pbc="T T T"
Li 6.5686 6.4358 1.2316
Li 9.4095 4.9595 3.3984
Li 12.5694 9.5705 3.3813
Nb 6.3837 6.2722 4.2747
Nb 8.7466 4.6509 0.0201
Nb 12.3073 12.4223 2.1648
Nb 9.1692 7.7659 2.1194
Fe 3.4967 1.8125 1.2381
O 4.6766 3.5475 0.4780
O 5.9534 5.0269 2.6562
O 7.2483 7.5307 3.1294
O 7.5204 3.1957 0.9588
O 7.8777 8.1728 0.4921
O 8.7726 5.7728 1.5849
O 9.1244 9.6739 2.6200
O 10.0540 7.1358 3.7584
O 10.4108 12.1652 3.1009
O 10.6781 7.8426 0.9660
O 11.9274 10.3871 1.5448
O 13.2627 11.7665 3.7270

---

(12)
28
Lattice="6.2875 0.0000 0.0000 0.0000 6.2875 0.0000 0.0000 0.0000 8.4082" Properties=species:S:1:pos:R:3 comment="LiNbFeO4, relaxed, DFT PBE with a Hubbard U" de_polymorph_mev_per_atom=0 formation_energy_ev_per_atom=-2.50 space_group="P4_322, No. 95" pbc="T T T"
Li 3.1437 4.5283 0.0000
Li 3.1437 1.7592 4.2041
Li 4.5283 3.1437 2.1020
Li 1.7592 3.1437 6.3061
Nb 4.4940 0.0000 2.1020
Nb 0.0000 4.4940 0.0000
Nb 0.0000 1.7935 4.2041
Nb 1.7935 0.0000 6.3061
Fe 4.7771 4.7771 5.2551
Fe 4.7771 1.5104 7.3572
Fe 1.5104 4.7771 3.1531
Fe 1.5104 1.5104 1.0510
O 3.2943 4.8135 2.1596
O 3.2943 1.4740 2.0445
O 4.8135 3.2943 8.3506
O 4.8135 2.9932 4.2617
O 4.8292 6.1559 0.1262
O 4.8292 0.1316 4.0779
O 6.1559 4.8292 1.9758
O 6.1559 1.4583 2.2282
O 0.1316 4.8292 6.4323
O 0.1316 1.4583 6.1799
O 1.4583 0.1316 4.3303
O 1.4583 6.1559 8.2820
O 1.4740 3.2943 0.0576
O 1.4740 2.9932 4.1465
O 2.9932 4.8135 6.2486
O 2.9932 1.4740 6.3637

---

(13)
22
Lattice="4.5728 2.6349 0.0000 -4.5728 2.6349 0.0000 0.0000 1.0710 10.4392" Properties=species:S:1:pos:R:3 comment="Li4NbFe5O12, relaxed, DFT PBE with a Hubbard U" formation_energy_ev_per_atom=-2.01 space_group="C2/m, No. 12" pbc="T T T"
Li 1.5497 4.0280 3.0211
Li 1.5497 2.3129 7.4181
Li -1.5497 4.0280 3.0211
Li -1.5497 2.3129 7.4181
Nb 0.0000 0.0000 0.0000
Fe 3.0804 3.1705 5.2196
Fe 1.5117 2.6349 0.0000
Fe 0.0000 3.1705 5.2196
Fe -1.5117 2.6349 0.0000
Fe -3.0804 3.1705 5.2196
O -1.5168 1.9314 9.3798
O -1.5168 4.4095 1.0595
O 1.5912 4.0160 6.3379
O 1.5912 2.3249 4.1013
O 0.0000 4.8471 4.1311
O 0.0000 4.6022 9.4333
O 0.0000 1.7387 1.0060
O 0.0000 1.4939 6.3081
O -1.5912 4.0160 6.3379
O -1.5912 2.3249 4.1013
O 1.5168 1.9314 9.3798
O 1.5168 4.4095 1.0595

---

(14)
15
Lattice="6.0179 0.0000 0.0000 -0.0738 6.0525 0.0000 -2.9605 -3.0228 4.3684" Properties=species:S:1:pos:R:3 comment="Li3NbFe3O8, relaxed, DFT PBE with a Hubbard U" de_polymorph_mev_per_atom=0 formation_energy_ev_per_atom=-2.13 space_group="P-1, No. 2" pbc="T T T"
Li 1.4918 1.5148 2.1842
Li 1.5287 -1.5114 2.1842
Li 2.9721 3.0262 0.0000
Nb 0.0000 0.0000 0.0000
Fe -1.5171 1.5148 2.1842
Fe -1.4803 -1.5114 2.1842
Fe -0.0369 3.0262 0.0000
O -0.1764 3.0009 1.9963
O 2.9860 2.9553 2.3159
O 4.6076 1.4761 0.0525
O 1.6498 1.5129 4.3500
O 1.3338 1.5168 0.0185
O -1.6239 1.5536 4.3159
O -0.0024 0.0744 2.0525
O 3.1601 0.0288 2.3721